## A
MgMo2WSe2S4: relaxed, PBE.

```
MgMo2WSe2S4
1.0
3.236 0.000 0.000
-1.618 2.802 0.000
0.000 -0.001 36.743
Mg Mo W Se S
1 2 1 2 4
direct
0.000 0.000 0.221
0.333 0.667 0.108
0.333 0.667 0.578
0.667 0.333 0.356
0.333 0.667 0.403
0.333 0.667 0.309
0.667 0.333 0.066
0.667 0.333 0.536
0.667 0.333 0.151
0.667 0.333 0.621
```

* SG: P3m1
* mass density: 3.419 g cm⁻³

## B
MgMo2WSe2S4: relaxed, PBE.

```
MgMo2WSe2S4
1.0
-1.059 -2.571 -1.646
3.128 0.246 0.774
-5.203 -14.210 25.543
Mg Mo W Se S
1 2 1 2 4
direct
0.328 0.583 0.843
0.333 0.667 0.116
0.333 0.667 0.578
0.667 0.333 0.347
0.333 0.667 0.405
0.333 0.667 0.289
0.667 0.333 0.063
0.667 0.333 0.526
0.667 0.333 0.168
0.667 0.333 0.631
```

* SG: P1
* mass density: 4.244 g cm⁻³

## C
MgMo2WSe2S4: relaxed, PBE.

```
MgMo2WSe2S4
1.0
-0.546 2.800 1.525
0.924 -2.604 1.682
35.086 9.402 -4.713
Mg Mo W Se S
1 2 1 2 4
direct
0.333 0.667 0.468
0.333 0.667 0.116
0.333 0.667 0.589
0.667 0.333 0.340
0.333 0.667 0.387
0.333 0.667 0.293
0.667 0.333 0.074
0.667 0.333 0.546
0.667 0.333 0.158
0.667 0.333 0.631
```

* SG: P3m1
* mass density: 3.432 g cm⁻³

It is B that is the least stable of them.

## A
MgMoW2Se2S4: relaxed, PBE.

```
MgMoW2Se2S4
1.0
-1.012 -2.945 0.876
3.167 0.625 -0.214
0.333 10.386 35.297
Mg Mo W Se S
1 1 2 2 4
direct
0.667 0.333 0.228
0.667 0.333 0.357
0.333 0.667 0.110
0.333 0.667 0.578
0.333 0.667 0.404
0.333 0.667 0.311
0.667 0.333 0.067
0.667 0.333 0.536
0.667 0.333 0.152
0.667 0.333 0.621
```

* SG: P3m1
* mass density: 3.854 g cm⁻³

## B
MgMoW2Se2S4: relaxed, PBE.

```
MgMoW2Se2S4
1.0
-0.542 0.735 3.094
-1.006 -2.826 -1.186
26.050 -12.434 7.518
Mg Mo W Se S
1 1 2 2 4
direct
0.726 0.325 0.842
0.667 0.333 0.347
0.333 0.667 0.116
0.333 0.667 0.578
0.333 0.667 0.404
0.333 0.667 0.290
0.667 0.333 0.063
0.667 0.333 0.526
0.667 0.333 0.168
0.667 0.333 0.631
```

* SG: P1
* mass density: 4.783 g cm⁻³

It is B that is the least stable of them.

## A
MgTe4Mo4S4: relaxed, PBE.

```
MgTe4Mo4S4
1.0
-0.397 3.064 1.321
-2.550 -2.188 0.034
13.790 -15.468 39.992
Mg Te Mo S
1 4 4 4
direct
0.000 0.001 0.553
0.333 0.667 0.706
0.667 0.333 0.052
0.667 0.333 0.136
0.333 0.667 0.622
0.333 0.667 0.094
0.333 0.666 0.463
0.667 0.333 0.282
0.667 0.333 0.664
0.333 0.666 0.315
0.667 0.333 0.429
0.667 0.333 0.497
0.333 0.667 0.248
```

* SG: Cm
* mass density: 3.946 g cm⁻³

## B
MgTe4Mo4S4: relaxed, PBE.

```
MgTe4Mo4S4
1.0
3.375 0.000 0.000
-1.688 2.923 0.000
0.003 0.000 42.278
Mg Te Mo S
1 4 4 4
direct
0.331 0.665 0.378
0.334 0.667 0.702
0.666 0.333 0.049
0.667 0.334 0.139
0.333 0.666 0.613
0.333 0.667 0.094
0.331 0.666 0.476
0.666 0.333 0.278
0.667 0.333 0.658
0.332 0.666 0.314
0.666 0.333 0.440
0.663 0.332 0.511
0.332 0.666 0.243
```

* SG: Cm
* mass density: 4.166 g cm⁻³

## C
MgTe4Mo4S4: relaxed, PBE.

```
MgTe4Mo4S4
1.0
3.353 0.000 0.000
-1.677 2.904 0.000
-0.001 0.001 37.936
Mg Te Mo S
1 4 4 4
direct
0.336 0.640 0.876
0.333 0.667 0.708
0.667 0.333 0.044
0.667 0.333 0.144
0.333 0.667 0.608
0.333 0.667 0.094
0.333 0.667 0.470
0.667 0.333 0.282
0.667 0.333 0.658
0.333 0.667 0.322
0.667 0.333 0.430
0.667 0.333 0.509
0.333 0.667 0.242
```

* SG: P1
* mass density: 4.705 g cm⁻³

It is C that is the least stable of them.

## A
MgTe4Mo2WS2: relaxed, PBE.

```
MgTe4Mo2WS2
1.0
3.406 0.000 0.000
-1.703 2.949 0.000
0.000 0.000 31.676
Mg Te Mo W S
1 4 2 1 2
direct
0.019 0.981 0.848
0.667 0.333 0.057
0.667 0.333 0.519
0.667 0.333 0.175
0.667 0.333 0.637
0.333 0.667 0.116
0.333 0.667 0.578
0.667 0.333 0.347
0.333 0.667 0.394
0.333 0.667 0.300
```

* SG: Cm
* mass density: 5.086 g cm⁻³

## B
MgTe4Mo2WS2: relaxed, PBE.

```
MgTe4Mo2WS2
1.0
-0.661 1.177 3.159
2.496 -2.310 -0.486
24.139 27.026 -5.123
Mg Te Mo W S
1 4 2 1 2
direct
0.001 0.999 0.244
0.666 0.333 0.059
0.666 0.334 0.527
0.668 0.332 0.161
0.667 0.333 0.629
0.333 0.666 0.110
0.666 0.334 0.354
0.333 0.667 0.578
0.334 0.666 0.395
0.331 0.669 0.313
```

* SG: Cm
* mass density: 4.327 g cm⁻³

## C
MgTe4Mo2WS2: relaxed, PBE.

```
MgTe4Mo2WS2
1.0
3.412 0.000 0.000
-1.706 2.955 0.000
0.000 0.000 31.638
Mg Te Mo W S
1 4 2 1 2
direct
0.637 0.341 0.849
0.667 0.333 0.057
0.667 0.333 0.519
0.667 0.333 0.175
0.667 0.333 0.638
0.333 0.667 0.116
0.667 0.333 0.347
0.333 0.667 0.578
0.333 0.667 0.394
0.333 0.667 0.300
```

* SG: P1
* mass density: 5.074 g cm⁻³

It is C that is the least stable of them.